VASP calculation (r2SCAN) on crystalline Tb2YbS4 at its relaxed geometry.

Cell: 7.1727 7.1727 7.1727 Å, 110.08 110.08 108.27°
With the nearest neighbours (Å) after each atom.
Element x y z (fractional)
S: 0.5124 0.7663 0.8843  1 Yb 2.69, 3 Tb 2.76-2.90
S: 0.8781 0.6320 0.6157  1 Yb 2.69, 3 Tb 2.76-2.90
S: 0.3680 0.9837 0.2461  1 Yb 2.69, 3 Tb 2.76-2.90
S: 0.8820 0.6281 0.1157  1 Yb 2.69, 3 Tb 2.76-2.90
S: 0.3719 0.4876 0.2539  1 Yb 2.69, 3 Tb 2.76-2.90
S: 0.7376 0.1219 0.7539  1 Yb 2.69, 3 Tb 2.76-2.90
S: 0.0163 0.2624 0.3843  1 Yb 2.69, 3 Tb 2.76-2.90
S: 0.2337 0.1180 0.7461  1 Yb 2.69, 3 Tb 2.76-2.90
Tb: 0.1250 0.4845 0.8595  8 S 2.76-3.08
Tb: 0.7345 0.8750 0.3595  8 S 2.76-3.08
Tb: 0.5155 0.3750 0.6405  8 S 2.76-3.08
Tb: 0.6250 0.2655 0.1405  8 S 2.76-3.08
Yb: 0.2500 0.7500 0.5000  4 S 2.69
Yb: 0.0000 0.0000 0.0000  4 S 2.69

Summary:
E_form	-2.2573	eV per atom